{
  "formula": "LiNiF3",
  "functional": "GGA+U",
  "state": "optimized geometry",
  "lattice": [[2.571, 1.485, 4.671], [-2.571, 1.485, 4.671], [0.000, -2.969, 4.671]],
  "species": ["Li", "Li", "Ni", "Ni", "F", "F", "F", "F", "F", "F"],
  "frac_coords": [[0.203, 0.203, 0.203], [0.797, 0.797, 0.797], [0.000, 0.000, 0.000], [0.500, 0.500, 0.500], [0.105, 0.771, 0.392], [0.229, 0.608, 0.895], [0.392, 0.105, 0.771], [0.608, 0.895, 0.229], [0.771, 0.392, 0.105], [0.895, 0.229, 0.608]],
  "corrected_energy_ev_per_atom": -5.33,
  "delta_e_f_ev_per_atom": -2.65,
  "crystal_system": "trigonal"
}